1.
Computed, not measured: a relaxed structure of LiFeC2O6 at the GGA+U level of DFT.

Results
Energy above the most stable polymorph in this dataset in meV per atom: 79
Total magnetic moment in μB per cell: 20.003
Formation energy from the elements in kJ/mol of formula units: -1771
Electronic total energy in eV per cell: -282.01

The structure in CIF format:
```
data_LiFeC2O6
_chemical_formula_sum 'Li4 Fe4 C8 O24'
_cell_length_a 5.591
_cell_length_b 10.988
_cell_length_c 8.303
_cell_angle_alpha 90.00
_cell_angle_beta 106.33
_cell_angle_gamma 90.00
_symmetry_space_group_name_H-M 'C 1 c 1'
_symmetry_Int_Tables_number 9
loop_
_symmetry_equiv_pos_as_xyz
'x,y,z'
'x,-y,z+1/2'
'x+1/2,y+1/2,z'
'x+1/2,-y+1/2,z+1/2'
loop_
_atom_site_label
_atom_site_type_symbol
_atom_site_fract_x
_atom_site_fract_y
_atom_site_fract_z
Li1 Li 0.000 0.086 0.000
Fe1 Fe 0.095 0.367 0.844
C1 C 0.058 0.424 0.549
C2 C 0.350 0.334 0.134
O1 O 0.050 0.459 0.400
O2 O 0.110 0.320 0.085
O3 O 0.271 0.397 0.658
O4 O 0.363 0.089 0.102
O5 O 0.452 0.374 0.021
O6 O 0.479 0.307 0.287
```

***

2.
Computed, not measured: a relaxed structure of Li3Fe2C2O8 at the GGA+U level of DFT.

Results
Total magnetic moment in μB per cell: 2.000
Formation energy from the elements in kJ/mol of formula units: -2800
Electronic total energy in eV per cell: -199.44

The structure in CIF format:
```
data_Li3Fe2C2O8
_chemical_formula_sum 'Li6 Fe4 C4 O16'
_cell_length_a 6.891
_cell_length_b 5.149
_cell_length_c 11.170
_cell_angle_alpha 90.00
_cell_angle_beta 100.92
_cell_angle_gamma 90.00
_symmetry_space_group_name_H-M 'P 1 c 1'
_symmetry_Int_Tables_number 7
loop_
_symmetry_equiv_pos_as_xyz
'x,y,z'
'x,-y,z+1/2'
loop_
_atom_site_label
_atom_site_type_symbol
_atom_site_fract_x
_atom_site_fract_y
_atom_site_fract_z
Li1 Li 0.000 0.074 0.000
Li2 Li 0.661 0.404 0.143
Li3 Li 0.912 0.108 0.715
Fe1 Fe 0.277 0.380 0.586
Fe2 Fe 0.300 0.104 0.274
C1 C 0.586 0.054 0.506
C2 C 0.991 0.421 0.359
O1 O 0.030 0.170 0.357
O2 O 0.075 0.445 0.956
O3 O 0.144 0.107 0.642
O4 O 0.408 0.377 0.189
O5 O 0.491 0.061 0.911
O6 O 0.531 0.286 0.536
O7 O 0.740 0.053 0.073
O8 O 0.879 0.465 0.772
```

***

3.
Computed, not measured: a relaxed structure of Li2Fe2C3O9 at the GGA+U level of DFT.

Results
Energy above the most stable polymorph in this dataset in meV per atom: 29
Total magnetic moment in μB per cell: 8.000
Formation energy from the elements in kJ/mol of formula units: -2865
Electronic total energy in eV per cell: -223.94

The structure in CIF format:
```
data_Li2Fe2C3O9
_chemical_formula_sum 'Li4 Fe4 C6 O18'
_cell_length_a 6.066
_cell_length_b 7.641
_cell_length_c 8.114
_cell_angle_alpha 79.48
_cell_angle_beta 79.69
_cell_angle_gamma 74.35
_symmetry_space_group_name_H-M 'P 1'
_symmetry_Int_Tables_number 1
loop_
_symmetry_equiv_pos_as_xyz
'x,y,z'
loop_
_atom_site_label
_atom_site_type_symbol
_atom_site_fract_x
_atom_site_fract_y
_atom_site_fract_z
Li1 Li 0.000 0.000 0.000
Li2 Li 0.000 0.494 0.505
Li3 Li 0.599 0.299 0.305
Li4 Li 0.599 0.795 0.802
Fe1 Fe 0.466 0.101 0.032
Fe2 Fe 0.469 0.603 0.527
Fe3 Fe 0.794 0.147 0.655
Fe4 Fe 0.799 0.650 0.152
C1 C 0.119 0.772 0.705
C2 C 0.120 0.278 0.204
C3 C 0.341 0.207 0.645
C4 C 0.345 0.710 0.145
C5 C 0.746 0.409 0.847
C6 C 0.746 0.912 0.345
O1 O 0.103 0.664 0.605
O2 O 0.104 0.169 0.105
O3 O 0.138 0.215 0.620
O4 O 0.141 0.717 0.122
O5 O 0.327 0.772 0.722
O6 O 0.329 0.279 0.218
O7 O 0.448 0.092 0.764
O8 O 0.453 0.597 0.264
O9 O 0.463 0.315 0.548
O10 O 0.466 0.816 0.045
O11 O 0.736 0.451 0.683
O12 O 0.736 0.743 0.409
O13 O 0.742 0.238 0.910
O14 O 0.742 0.952 0.180
O15 O 0.762 0.527 0.933
O16 O 0.763 0.031 0.429
O17 O 0.937 0.876 0.783
O18 O 0.939 0.381 0.283
```

***

4.
Computed, not measured: a relaxed structure of Li2Fe2C3O9 at the GGA+U level of DFT.

Results
Energy above the most stable polymorph in this dataset in meV per atom: 0
Total magnetic moment in μB per cell: 16.000
Formation energy from the elements in kJ/mol of formula units: -2909
Electronic total energy in eV per cell: -224.87

The structure in CIF format:
```
data_Li2Fe2C3O9
_chemical_formula_sum 'Li4 Fe4 C6 O18'
_cell_length_a 7.501
_cell_length_b 7.515
_cell_length_c 7.569
_cell_angle_alpha 107.98
_cell_angle_beta 108.19
_cell_angle_gamma 107.78
_symmetry_space_group_name_H-M 'P 1'
_symmetry_Int_Tables_number 1
loop_
_symmetry_equiv_pos_as_xyz
'x,y,z'
loop_
_atom_site_label
_atom_site_type_symbol
_atom_site_fract_x
_atom_site_fract_y
_atom_site_fract_z
Li1 Li 0.000 0.000 0.000
Li2 Li 0.028 0.771 0.499
Li3 Li 0.263 0.272 0.467
Li4 Li 0.535 0.741 0.727
Fe1 Fe 0.338 0.582 0.197
Fe2 Fe 0.453 0.188 0.924
Fe3 Fe 0.733 0.079 0.312
Fe4 Fe 0.840 0.467 0.804
C1 C 0.082 0.225 0.754
C2 C 0.282 0.816 0.948
C3 C 0.489 0.027 0.543
C4 C 0.630 0.456 0.417
C5 C 0.716 0.690 0.094
C6 C 0.952 0.368 0.183
O1 O 0.094 0.558 0.305
O2 O 0.134 0.260 0.946
O3 O 0.180 0.656 0.969
O4 O 0.190 0.921 0.890
O5 O 0.195 0.174 0.668
O6 O 0.443 0.945 0.659
O7 O 0.476 0.502 0.428
O8 O 0.477 0.873 0.986
O9 O 0.505 0.916 0.383
O10 O 0.521 0.218 0.585
O11 O 0.547 0.537 0.052
O12 O 0.590 0.289 0.263
O13 O 0.764 0.704 0.943
O14 O 0.797 0.322 0.013
O15 O 0.818 0.577 0.563
O16 O 0.840 0.835 0.282
O17 O 0.919 0.241 0.648
O18 O 0.967 0.217 0.233
```

***

5.
Computed, not measured: a relaxed structure of LiFe2C2O7 at the GGA+U level of DFT.

Results
Energy above the most stable polymorph in this dataset in meV per atom: 0
Total magnetic moment in μB per cell: 18.000
Formation energy from the elements in kJ/mol of formula units: -2066
Electronic total energy in eV per cell: -168.06

The structure in CIF format:
```
data_LiFe2C2O7
_chemical_formula_sum 'Li2 Fe4 C4 O14'
_cell_length_a 4.831
_cell_length_b 4.873
_cell_length_c 15.829
_cell_angle_alpha 89.73
_cell_angle_beta 89.87
_cell_angle_gamma 60.42
_symmetry_space_group_name_H-M 'P 1'
_symmetry_Int_Tables_number 1
loop_
_symmetry_equiv_pos_as_xyz
'x,y,z'
loop_
_atom_site_label
_atom_site_type_symbol
_atom_site_fract_x
_atom_site_fract_y
_atom_site_fract_z
Li1 Li 0.000 0.000 0.000
Li2 Li 0.001 0.998 0.500
Fe1 Fe 0.328 0.332 0.129
Fe2 Fe 0.341 0.331 0.361
Fe3 Fe 0.658 0.669 0.630
Fe4 Fe 0.671 0.667 0.862
C1 C 0.333 0.331 0.910
C2 C 0.334 0.331 0.580
C3 C 0.667 0.667 0.410
C4 C 0.668 0.666 0.080
O1 O 0.074 0.313 0.911
O2 O 0.082 0.607 0.580
O3 O 0.306 0.080 0.580
O4 O 0.317 0.604 0.910
O5 O 0.338 0.340 0.250
O6 O 0.388 0.917 0.080
O7 O 0.391 0.682 0.411
O8 O 0.608 0.075 0.910
O9 O 0.615 0.304 0.579
O10 O 0.662 0.657 0.751
O11 O 0.684 0.924 0.410
O12 O 0.694 0.390 0.079
O13 O 0.921 0.697 0.079
O14 O 0.925 0.395 0.409
```

***

6.
Computed, not measured: a relaxed structure of LiFeC2O6 at the GGA+U level of DFT.

Results
Energy above the most stable polymorph in this dataset in meV per atom: 84
Largest piezoelectric modulus in C/m2: 0.39
Total magnetic moment in μB per cell: 10.001
Formation energy from the elements in kJ/mol of formula units: -1767
Electronic total energy in eV per cell: -140.91

The structure in CIF format:
```
data_LiFeC2O6
_chemical_formula_sum 'Li2 Fe2 C4 O12'
_cell_length_a 5.172
_cell_length_b 7.779
_cell_length_c 6.381
_cell_angle_alpha 90.00
_cell_angle_beta 111.71
_cell_angle_gamma 90.00
_symmetry_space_group_name_H-M 'P 1 21 1'
_symmetry_Int_Tables_number 4
loop_
_symmetry_equiv_pos_as_xyz
'x,y,z'
'-x,y+1/2,-z'
loop_
_atom_site_label
_atom_site_type_symbol
_atom_site_fract_x
_atom_site_fract_y
_atom_site_fract_z
Li1 Li 0.052 0.000 0.434
Fe1 Fe 0.257 0.562 0.228
C1 C 0.012 0.797 0.866
C2 C 0.471 0.325 0.613
O1 O 0.123 0.931 0.811
O2 O 0.136 0.649 0.912
O3 O 0.238 0.317 0.131
O4 O 0.262 0.816 0.346
O5 O 0.333 0.466 0.554
O6 O 0.356 0.182 0.640
```

***

7.
Computed, not measured: a relaxed structure of LiFe2C2O7 at the GGA+U level of DFT.

Results
Energy above the most stable polymorph in this dataset in meV per atom: 38
Total magnetic moment in μB per cell: 54.000
Formation energy from the elements in kJ/mol of formula units: -2022
Electronic total energy in eV per cell: -501.45

The structure in CIF format:
```
data_LiFe2C2O7
_chemical_formula_sum 'Li6 Fe12 C12 O42'
_cell_length_a 14.362
_cell_length_b 8.444
_cell_length_c 8.063
_cell_angle_alpha 90.00
_cell_angle_beta 90.62
_cell_angle_gamma 90.00
_symmetry_space_group_name_H-M 'C 1 2 1'
_symmetry_Int_Tables_number 5
loop_
_symmetry_equiv_pos_as_xyz
'x,y,z'
'-x,y,-z'
'x+1/2,y+1/2,z'
'-x+1/2,y+1/2,-z'
loop_
_atom_site_label
_atom_site_type_symbol
_atom_site_fract_x
_atom_site_fract_y
_atom_site_fract_z
Li1 Li 0.000 0.000 0.000
Li2 Li 0.180 0.453 0.993
Fe1 Fe 0.002 0.273 0.227
Fe2 Fe 0.160 0.777 0.239
Fe3 Fe 0.167 0.782 0.694
C1 C 0.001 0.611 0.796
C2 C 0.172 0.109 0.204
C3 C 0.173 0.108 0.796
O1 O 0.000 0.245 0.000
O2 O 0.040 0.751 0.794
O3 O 0.046 0.492 0.737
O4 O 0.082 0.594 0.146
O5 O 0.093 0.104 0.723
O6 O 0.121 0.994 0.147
O7 O 0.136 0.231 0.274
O8 O 0.169 0.784 0.476
O9 O 0.208 0.238 0.854
O10 O 0.219 0.975 0.812
O11 O 0.238 0.602 0.810
```

***

8.
Computed, not measured: a relaxed structure of Li2Fe2C3O9 at the GGA+U level of DFT.

Results
Energy above the most stable polymorph in this dataset in meV per atom: 39
Total magnetic moment in μB per cell: 16.001
Formation energy from the elements in kJ/mol of formula units: -2849
Electronic total energy in eV per cell: -447.23

The structure in CIF format:
```
data_Li2Fe2C3O9
_chemical_formula_sum 'Li8 Fe8 C12 O36'
_cell_length_a 12.329
_cell_length_b 9.810
_cell_length_c 7.094
_cell_angle_alpha 90.00
_cell_angle_beta 125.07
_cell_angle_gamma 90.00
_symmetry_space_group_name_H-M 'C 1 m 1'
_symmetry_Int_Tables_number 8
loop_
_symmetry_equiv_pos_as_xyz
'x,y,z'
'x,-y,z'
'x+1/2,y+1/2,z'
'x+1/2,-y+1/2,z'
loop_
_atom_site_label
_atom_site_type_symbol
_atom_site_fract_x
_atom_site_fract_y
_atom_site_fract_z
Li1 Li 0.000 0.201 0.000
Li2 Li 0.000 0.299 0.500
Fe1 Fe 0.001 0.500 0.177
Fe2 Fe 0.249 0.000 0.257
Fe3 Fe 0.250 0.500 0.762
Fe4 Fe 0.499 0.500 0.675
C1 C 0.006 0.000 0.328
C2 C 0.250 0.204 0.009
C3 C 0.250 0.300 0.507
C4 C 0.494 0.000 0.815
O1 O 0.005 0.111 0.426
O2 O 0.008 0.000 0.146
O3 O 0.140 0.142 0.951
O4 O 0.140 0.361 0.452
O5 O 0.250 0.190 0.415
O6 O 0.250 0.316 0.921
O7 O 0.360 0.142 0.170
O8 O 0.360 0.361 0.672
O9 O 0.493 0.000 0.631
O10 O 0.495 0.111 0.915
```

***

9.
Computed, not measured: a relaxed structure of Li2Fe2C3O9 at the GGA+U level of DFT.

Results
Energy above the most stable polymorph in this dataset in meV per atom: 37
Total magnetic moment in μB per cell: 16.000
Formation energy from the elements in kJ/mol of formula units: -2853
Electronic total energy in eV per cell: -223.69

The structure in CIF format:
```
data_Li2Fe2C3O9
_chemical_formula_sum 'Li4 Fe4 C6 O18'
_cell_length_a 7.068
_cell_length_b 9.795
_cell_length_c 5.060
_cell_angle_alpha 90.00
_cell_angle_beta 91.32
_cell_angle_gamma 90.00
_symmetry_space_group_name_H-M 'C 1 m 1'
_symmetry_Int_Tables_number 8
loop_
_symmetry_equiv_pos_as_xyz
'x,y,z'
'x,-y,z'
'x+1/2,y+1/2,z'
'x+1/2,-y+1/2,z'
loop_
_atom_site_label
_atom_site_type_symbol
_atom_site_fract_x
_atom_site_fract_y
_atom_site_fract_z
Li1 Li 0.000 0.200 0.000
Fe1 Fe 0.011 0.000 0.495
Fe2 Fe 0.179 0.500 0.978
C1 C 0.257 0.297 0.490
C2 C 0.323 0.000 0.995
O1 O 0.140 0.000 0.991
O2 O 0.168 0.186 0.488
O3 O 0.309 0.360 0.273
O4 O 0.310 0.360 0.711
O5 O 0.422 0.112 0.997
```

***

10.
Computed, not measured: a relaxed structure of LiFe2C2O7 at the GGA+U level of DFT.

Results
Energy above the most stable polymorph in this dataset in meV per atom: 22
Total magnetic moment in μB per cell: 4.000
Formation energy from the elements in kJ/mol of formula units: -2041
Electronic total energy in eV per cell: -335.08

The structure in CIF format:
```
data_LiFe2C2O7
_chemical_formula_sum 'Li4 Fe8 C8 O28'
_cell_length_a 7.719
_cell_length_b 7.981
_cell_length_c 11.914
_cell_angle_alpha 90.00
_cell_angle_beta 111.58
_cell_angle_gamma 90.00
_symmetry_space_group_name_H-M 'P 1 21/c 1'
_symmetry_Int_Tables_number 14
loop_
_symmetry_equiv_pos_as_xyz
'x,y,z'
'-x,-y,-z'
'-x,y+1/2,-z+1/2'
'x,-y+1/2,z+1/2'
loop_
_atom_site_label
_atom_site_type_symbol
_atom_site_fract_x
_atom_site_fract_y
_atom_site_fract_z
Li1 Li 0.010 0.235 0.403
Fe1 Fe 0.164 0.112 0.645
Fe2 Fe 0.281 0.600 0.386
C1 C 0.238 0.609 0.963
C2 C 0.328 0.087 0.087
O1 O 0.108 0.721 0.962
O2 O 0.124 0.584 0.228
O3 O 0.205 0.081 0.976
O4 O 0.234 0.042 0.498
O5 O 0.297 0.171 0.169
O6 O 0.363 0.665 0.924
O7 O 0.479 0.501 0.611
```

***

11.
Computed, not measured: a relaxed structure of Li2FeCO5 at the GGA+U level of DFT.

Results
Total magnetic moment in μB per cell: 16.002
Formation energy from the elements in kJ/mol of formula units: -1648
Electronic total energy in eV per cell: -230.58

The structure in CIF format:
```
data_Li2FeCO5
_chemical_formula_sum 'Li8 Fe4 C4 O20'
_cell_length_a 9.341
_cell_length_b 12.292
_cell_length_c 2.915
_cell_angle_alpha 90.00
_cell_angle_beta 90.00
_cell_angle_gamma 90.00
_symmetry_space_group_name_H-M 'P b a m'
_symmetry_Int_Tables_number 55
loop_
_symmetry_equiv_pos_as_xyz
'x,y,z'
'-x,-y,-z'
'-x,-y,z'
'x,y,-z'
'x+1/2,-y+1/2,-z'
'-x+1/2,y+1/2,z'
'-x+1/2,y+1/2,-z'
'x+1/2,-y+1/2,z'
loop_
_atom_site_label
_atom_site_type_symbol
_atom_site_fract_x
_atom_site_fract_y
_atom_site_fract_z
Li1 Li 0.000 0.000 0.000
Li2 Li 0.000 0.500 0.500
Li3 Li 0.008 0.220 0.500
Fe1 Fe 0.246 0.387 0.000
C1 C 0.229 0.639 0.000
O1 O 0.120 0.358 0.500
O2 O 0.126 0.920 0.500
O3 O 0.134 0.139 0.000
O4 O 0.155 0.548 0.000
O5 O 0.156 0.730 0.000
```